(1)
This record from Materials Project describes a geometry-optimized Li9Mn2Co5O16 structure. The functional is PBE+U.

abc: 5.1789 6.4494 8.6030
angles: 97.10 94.37 95.62
Fractional coordinates of all 32 atoms:
O1 0.8974 0.5235 0.7096
Li1 0.2555 0.9392 0.5616
O2 0.6520 0.3772 0.4158
Mn1 0.0004 0.9970 0.0017
Co1 0.0028 0.5014 0.4987
O3 0.8937 0.7652 0.4613
Li2 0.5002 0.3754 0.6250
O4 0.3963 0.1441 0.0893
Co2 0.5008 0.8742 0.1269
Co3 0.9900 0.2559 0.7442
Li3 0.2513 0.1902 0.3171
O5 0.0991 0.2410 0.5374
O6 0.8542 0.2589 0.9525
O7 0.3431 0.6371 0.5699
O8 0.8888 0.0167 0.2139
Li4 0.7431 0.8022 0.6827
O9 0.3872 0.8940 0.3358
O10 0.1468 0.9936 0.7944
O11 0.1115 0.7274 0.0412
Li5 0.2592 0.4446 0.0636
Li6 0.7447 0.0712 0.4423
O12 0.6048 0.8514 0.9132
O13 0.6257 0.0897 0.6698
Li7 0.7489 0.3168 0.1932
O14 0.6157 0.6114 0.1679
O15 0.1110 0.4807 0.2865
Co4 0.0011 0.7477 0.2516
Mn2 0.4989 0.1277 0.8711
Li8 0.2577 0.6728 0.8065
O16 0.3783 0.3866 0.8469
Co5 0.4990 0.6250 0.3759
Li9 0.7408 0.5601 0.9326

ρ = 4248 kg/m3
Total moment = 14.700 Bohr magnetons per cell
Raw total energy = -5.801 eV per atom



(2)
This record from Materials Project describes a geometry-optimized Sr3CaNdMn5O15 structure. The functional is PBE+U.

abc: 5.5093 9.4256 12.1049
angles: 97.48 102.71 105.06
Fractional coordinates of all 50 atoms:
O1 0.0723 0.9255 0.1398
O2 0.0618 0.9386 0.6838
Sr1 0.8438 0.6481 0.0489
O3 0.1529 0.3591 0.4464
O4 0.1259 0.8707 0.4589
O5 0.5274 0.4805 0.6603
O6 0.3273 0.6776 0.0585
O7 0.6641 0.3471 0.4734
O8 0.8620 0.1436 0.0732
O9 0.0379 0.4555 0.1580
O10 0.8779 0.1283 0.5450
O11 0.3578 0.1471 0.0389
O12 0.9415 0.0571 0.3270
O13 0.6927 0.3231 0.9412
O14 0.5513 0.9482 0.6587
O15 0.4361 0.5295 0.8759
Mn1 0.6006 0.4023 0.8011
Sr2 0.5534 0.9509 0.1492
O16 0.2930 0.7246 0.7417
O17 0.2480 0.7352 0.2759
O18 0.6550 0.8544 0.9416
Sr3 0.6496 0.8507 0.4495
Nd1 0.4578 0.0522 0.8492
Mn2 0.2964 0.6972 0.8983
O19 0.9376 0.5568 0.8492
Mn3 0.1016 0.9008 0.2998
Sr4 0.3504 0.1498 0.5473
O20 0.4499 0.0494 0.3490
Mn4 0.6996 0.3004 0.0986
O21 0.7305 0.2812 0.2592
Sr5 0.0486 0.4492 0.6534
O22 0.4905 0.5290 0.3427
O23 0.7482 0.7397 0.2506
Sr6 0.2500 0.2504 0.2491
O24 0.9204 0.0837 0.8611
Nd2 0.9485 0.5508 0.3527
Ca1 0.7517 0.7499 0.7511
Mn5 0.2015 0.7991 0.6023
Mn6 0.5000 0.5005 0.5018
O25 0.5157 0.4484 0.1184
Mn7 0.9019 0.1005 0.7015
O26 0.7344 0.2547 0.7265
O27 0.8549 0.6512 0.5505
O28 0.2534 0.2405 0.7577
Mn8 0.0018 0.0001 0.9986
O29 0.3316 0.6560 0.5196
Mn9 0.3982 0.5994 0.1979
O30 0.1463 0.8645 0.9174
Mn10 0.7989 0.1991 0.4003
Ca2 0.1473 0.3475 0.9495

ρ = 5505 kg/m3
Total moment = 32.001 Bohr magnetons per cell
Raw total energy = -7.109 eV per atom



(3)
This record from Materials Project describes a geometry-optimized Mn11ZnO16 structure. The functional is PBE+U.

abc: 6.3255 6.3255 8.3373
angles: 90.00 90.00 97.52
Fractional coordinates of all 28 atoms:
Mn1 0.9996 0.2481 0.3730
O1 0.7268 0.4936 0.8881
Mn2 0.5000 0.0000 0.2495
O2 0.2732 0.5064 0.8881
O3 0.7714 0.0054 0.3898
O4 0.0058 0.2663 0.1353
Mn3 0.5000 0.5000 0.5000
O5 0.5064 0.2732 0.1119
Mn4 0.4981 0.2489 0.8766
O6 0.2286 0.9946 0.3898
O7 0.2663 0.0058 0.8647
O8 0.0054 0.7714 0.6102
Mn5 0.7519 0.0004 0.6270
O9 0.9946 0.2286 0.6102
O10 0.4936 0.7268 0.1119
O11 0.2269 0.4933 0.3595
Zn1 0.0000 0.0000 0.0000
O12 0.7731 0.5067 0.3595
O13 0.9942 0.7337 0.1353
Mn6 0.5019 0.7511 0.8766
Mn7 0.0004 0.7519 0.3730
O14 0.7337 0.9942 0.8647
O15 0.5067 0.7731 0.6405
Mn8 0.2489 0.4981 0.1234
Mn9 0.7511 0.5019 0.1234
Mn10 0.0000 0.5000 0.7505
Mn11 0.2481 0.9996 0.6270
O16 0.4933 0.2269 0.6405

ρ = 4648 kg/m3
Raw total energy = -7.449 eV per atom



(4)
This record from Materials Project describes a geometry-optimized Li5Mn3O8 structure. The functional is PBE+U.

abc: 5.8638 5.8638 5.8638
angles: 59.87 59.87 59.87
Fractional coordinates of all 16 atoms:
O1 0.2456 0.2456 0.2456
O2 0.2502 0.2502 0.7780
Li1 0.0000 0.0000 0.0000
O3 0.7498 0.2220 0.7498
Mn1 0.5000 0.0000 0.0000
Li2 0.5000 0.5000 0.0000
O4 0.7780 0.2502 0.2502
O5 0.2220 0.7498 0.7498
Li3 0.0000 0.5000 0.5000
O6 0.7498 0.7498 0.2220
Li4 0.5000 0.0000 0.5000
O7 0.2502 0.7780 0.2502
Li5 0.5000 0.5000 0.5000
Mn2 0.0000 0.5000 0.0000
Mn3 0.0000 0.0000 0.5000
O8 0.7544 0.7544 0.7544

ρ = 3826 kg/m3
Total moment = 10.000 Bohr magnetons per cell
Raw total energy = -6.250 eV per atom



Please write out number 1 again, unchanged.
This record from Materials Project describes a geometry-optimized Li9Mn2Co5O16 structure. The functional is PBE+U.

abc: 5.1789 6.4494 8.6030
angles: 97.10 94.37 95.62
Fractional coordinates of all 32 atoms:
O1 0.8974 0.5235 0.7096
Li1 0.2555 0.9392 0.5616
O2 0.6520 0.3772 0.4158
Mn1 0.0004 0.9970 0.0017
Co1 0.0028 0.5014 0.4987
O3 0.8937 0.7652 0.4613
Li2 0.5002 0.3754 0.6250
O4 0.3963 0.1441 0.0893
Co2 0.5008 0.8742 0.1269
Co3 0.9900 0.2559 0.7442
Li3 0.2513 0.1902 0.3171
O5 0.0991 0.2410 0.5374
O6 0.8542 0.2589 0.9525
O7 0.3431 0.6371 0.5699
O8 0.8888 0.0167 0.2139
Li4 0.7431 0.8022 0.6827
O9 0.3872 0.8940 0.3358
O10 0.1468 0.9936 0.7944
O11 0.1115 0.7274 0.0412
Li5 0.2592 0.4446 0.0636
Li6 0.7447 0.0712 0.4423
O12 0.6048 0.8514 0.9132
O13 0.6257 0.0897 0.6698
Li7 0.7489 0.3168 0.1932
O14 0.6157 0.6114 0.1679
O15 0.1110 0.4807 0.2865
Co4 0.0011 0.7477 0.2516
Mn2 0.4989 0.1277 0.8711
Li8 0.2577 0.6728 0.8065
O16 0.3783 0.3866 0.8469
Co5 0.4990 0.6250 0.3759
Li9 0.7408 0.5601 0.9326

ρ = 4248 kg/m3
Total moment = 14.700 Bohr magnetons per cell
Raw total energy = -5.801 eV per atom



Question: Number 3 is which compound?
Answer: Mn11ZnO16



Copy entry 2 word for word.
This record from Materials Project describes a geometry-optimized Sr3CaNdMn5O15 structure. The functional is PBE+U.

abc: 5.5093 9.4256 12.1049
angles: 97.48 102.71 105.06
Fractional coordinates of all 50 atoms:
O1 0.0723 0.9255 0.1398
O2 0.0618 0.9386 0.6838
Sr1 0.8438 0.6481 0.0489
O3 0.1529 0.3591 0.4464
O4 0.1259 0.8707 0.4589
O5 0.5274 0.4805 0.6603
O6 0.3273 0.6776 0.0585
O7 0.6641 0.3471 0.4734
O8 0.8620 0.1436 0.0732
O9 0.0379 0.4555 0.1580
O10 0.8779 0.1283 0.5450
O11 0.3578 0.1471 0.0389
O12 0.9415 0.0571 0.3270
O13 0.6927 0.3231 0.9412
O14 0.5513 0.9482 0.6587
O15 0.4361 0.5295 0.8759
Mn1 0.6006 0.4023 0.8011
Sr2 0.5534 0.9509 0.1492
O16 0.2930 0.7246 0.7417
O17 0.2480 0.7352 0.2759
O18 0.6550 0.8544 0.9416
Sr3 0.6496 0.8507 0.4495
Nd1 0.4578 0.0522 0.8492
Mn2 0.2964 0.6972 0.8983
O19 0.9376 0.5568 0.8492
Mn3 0.1016 0.9008 0.2998
Sr4 0.3504 0.1498 0.5473
O20 0.4499 0.0494 0.3490
Mn4 0.6996 0.3004 0.0986
O21 0.7305 0.2812 0.2592
Sr5 0.0486 0.4492 0.6534
O22 0.4905 0.5290 0.3427
O23 0.7482 0.7397 0.2506
Sr6 0.2500 0.2504 0.2491
O24 0.9204 0.0837 0.8611
Nd2 0.9485 0.5508 0.3527
Ca1 0.7517 0.7499 0.7511
Mn5 0.2015 0.7991 0.6023
Mn6 0.5000 0.5005 0.5018
O25 0.5157 0.4484 0.1184
Mn7 0.9019 0.1005 0.7015
O26 0.7344 0.2547 0.7265
O27 0.8549 0.6512 0.5505
O28 0.2534 0.2405 0.7577
Mn8 0.0018 0.0001 0.9986
O29 0.3316 0.6560 0.5196
Mn9 0.3982 0.5994 0.1979
O30 0.1463 0.8645 0.9174
Mn10 0.7989 0.1991 0.4003
Ca2 0.1473 0.3475 0.9495

ρ = 5505 kg/m3
Total moment = 32.001 Bohr magnetons per cell
Raw total energy = -7.109 eV per atom



Question: What is the raw total energy in the second record?
Answer: -7.109 eV per atom